P | First-principles (GGA-PBE) data for a relaxed structure of LiTi2Zn2P2O10, as listed in the Materials Project database.

Unit cell a=5.6203 b=5.6937 c=7.3200 alpha=108.41 beta=108.45 gamma=94.85
Last column: nearest neighbours and their distance in Å.
Space group P1 (No. 1)
One atom of each set of equivalent atoms:
Li 0.0000 0.0000 0.0000 x1  4 O 2.00-2.11
Ti 0.3672 0.1961 0.3899 x1  5 O 1.96-2.19
Ti 0.3761 0.1842 0.8586 x1  4 O 1.94-2.16
Zn 0.0318 0.5057 0.5745 x1  2 O 1.85-2.02
Zn 0.5132 0.7740 0.1042 x1  3 O 1.94-2.14
P 0.0028 0.5788 0.1379 x1  4 O 1.55-1.59
P 0.7151 0.8234 0.6053 x1  4 O 1.54-1.58
O 0.0178 0.8850 0.7018 x1  1 P 1.58
O 0.0464 0.8704 0.2312 x1  1 P 1.55
O 0.0851 0.4449 0.2960 x1  1 P 1.55
O 0.1525 0.5004 0.9881 x1  1 P 1.56
O 0.2662 0.3048 0.6318 x1  1 Zn 1.85, 2 Ti 1.94-1.96
O 0.3917 0.0831 0.1009 x1  1 Zn 1.94, 2 Ti 2.01-2.06, 1 Li 2.05
O 0.6086 0.9274 0.4319 x1  1 P 1.54
O 0.6233 0.9294 0.7869 x1  1 P 1.54
O 0.6600 0.5266 0.5133 x1  1 P 1.57
O 0.7012 0.4970 0.0237 x1  1 P 1.59

Computed properties:
Total magnetization   0.174 μB per atom



Q | First-principles (GGA-PBE) data for a relaxed structure of LiTi2Zn2P2O10, as listed in the Materials Project database.

Unit cell a=5.4324 b=5.6533 c=7.6484 alpha=108.69 beta=108.81 gamma=93.17
Last column: nearest neighbours and their distance in Å.
Space group P1 (No. 1)
One atom of each set of equivalent atoms:
Li 0.0000 0.0000 0.0000 x1  3 O 1.87-1.98
Ti 0.2748 0.3338 0.8883 x1  3 O 1.94-2.13
Ti 0.2872 0.3342 0.4029 x1  5 O 1.97-2.17
Zn 0.0391 0.6931 0.6200 x1  3 O 1.93-2.11
Zn 0.5352 0.9706 0.1753 x1  4 O 1.91-2.11
P 0.6072 0.9346 0.6197 x1  4 O 1.55-1.59
P 0.9283 0.7023 0.1626 x1  4 O 1.54-1.59
O 0.0321 0.5973 0.3295 x1  1 P 1.54
O 0.0817 0.6472 0.0193 x1  1 P 1.55
O 0.2084 0.4083 0.6477 x1  1 Zn 1.93, 2 Ti 1.94-1.97
O 0.3263 0.2198 0.1271 x1  1 Li 1.87, 1 Zn 1.91, 2 Ti 2.07-2.08
O 0.4351 0.9930 0.7495 x1  1 P 1.55
O 0.5295 0.0559 0.4593 x1  1 P 1.55
O 0.6046 0.6441 0.5280 x1  1 P 1.56
O 0.6219 0.6164 0.0547 x1  1 P 1.57
O 0.9134 0.0305 0.7502 x1  1 P 1.59
O 0.9469 0.0015 0.2440 x1  1 P 1.59

Computed properties:
Total magnetization   0.049 μB per atom



R | First-principles (GGA-PBE) data for a relaxed structure of LiTi2Zn2P2O10, as listed in the Materials Project database.

Unit cell a=5.3713 b=5.7570 c=7.0730 alpha=106.52 beta=106.98 gamma=96.46
Last column: nearest neighbours and their distance in Å.
Space group P1 (No. 1)
One atom of each set of equivalent atoms:
Li 0.0000 0.0000 0.0000 x1  4 O 1.96-2.06
Ti 0.4506 0.0679 0.7798 x1  3 O 1.95-2.15
Ti 0.5290 0.0988 0.2802 x1  3 O 1.98-2.20
Zn 0.2320 0.4217 0.5136 x1  3 O 1.93-2.08
Zn 0.6771 0.6517 0.0352 x1  4 O 1.93-2.06
P 0.1475 0.4821 0.0334 x1  4 O 1.54-1.57
P 0.8012 0.7136 0.5364 x1  4 O 1.55-1.58
O 0.0541 0.8757 0.7198 x1  1 P 1.55
O 0.1907 0.7656 0.1287 x1  1 P 1.54
O 0.2370 0.3423 0.1936 x1  1 P 1.57
O 0.3107 0.4167 0.8806 x1  1 P 1.57
O 0.4033 0.1456 0.5228 x1  1 Zn 1.93, 2 Ti 1.95-1.98
O 0.5602 0.7112 0.6179 x1  1 P 1.56
O 0.6475 0.9802 0.0286 x1  1 Zn 1.93, 1 Li 1.96, 2 Ti 2.00-2.03
O 0.7457 0.8139 0.3503 x1  1 P 1.55
O 0.8432 0.3807 0.9136 x1  1 P 1.56
O 0.8488 0.4422 0.4555 x1  1 P 1.58

Computed properties:
Total magnetization   0.177 μB per atom



Computed relative energies in units of kJ/mol of atoms: P 0.7; Q 2.3; R 0.0



P | First-principles (GGA-PBE) data for a relaxed structure of LiY3P3O12, as listed in the Materials Project database.

Unit cell a=7.0125 b=12.0387 c=6.3323 alpha=90.00 beta=90.00 gamma=90.00
Last column: nearest neighbours and their distance in Å.
Space group C222 (No. 21)
One atom of each set of equivalent atoms:
Li 0.0000 0.0000 0.0000 x2  8 O 2.90-2.97
Y 0.0000 0.5000 0.5000 x2  8 O 2.34-2.53
Y 0.2500 0.2500 0.8302 x4  8 O 2.35-2.54
P 0.0000 0.5000 0.0000 x2  4 O 1.55
P 0.2500 0.2500 0.3329 x4  4 O 1.55
O 0.0826 0.2220 0.1815 x8  1 P 1.55
O 0.1276 0.4310 0.8491 x8  1 P 1.55
O 0.2066 0.3481 0.4844 x8  1 P 1.55

Computed properties:
Total magnetization   0.014 μB per atom



Q | First-principles (GGA-PBE) data for a relaxed structure of LiY3P3O12, as listed in the Materials Project database.

Unit cell a=7.0321 b=11.8817 c=6.4781 alpha=90.00 beta=90.27 gamma=90.00
Last column: nearest neighbours and their distance in Å.
Space group C2 (No. 5)
One atom of each set of equivalent atoms:
Li 0.0000 0.0000 0.0000 x2  4 O 1.84-2.00
Y 0.0000 0.1995 0.5000 x2  6 O 2.28-2.49
Y 0.1750 0.4628 0.2371 x4  7 O 2.32-2.49
P 0.0000 0.2060 0.0000 x2  4 O 1.55-1.57
P 0.2087 0.9434 0.3167 x4  4 O 1.53-1.57
O 0.0110 0.9126 0.2350 x4  1 P 1.53
O 0.1104 0.2757 0.1636 x4  1 P 1.55
O 0.1309 0.1294 0.8646 x4  1 P 1.57
O 0.1541 0.4696 0.8666 x4  1 P 1.56
O 0.2009 0.0503 0.4590 x4  1 P 1.57
O 0.2072 0.3481 0.5451 x4  1 P 1.56

Computed properties:
Total magnetization   0.052 μB per atom



Computed relative energies in units of kJ/mol of atoms: P 0.0; Q 1.6



P | First-principles (GGA-PBE) data for a relaxed structure of LiZr2P3O12, as listed in the Materials Project database.

Unit cell a=15.5439 b=9.0893 c=9.0524 alpha=90.00 beta=124.87 gamma=90.00
Last column: nearest neighbours and their distance in Å.
Space group Cc (No. 9)
One atom of each set of equivalent atoms:
Li 0.0000 0.1003 0.0000 x4  3 O 2.05-2.12
Zr 0.1409 0.2558 0.4595 x4  6 O 2.07-2.18
Zr 0.3588 0.2445 0.1157 x4  6 O 2.05-2.16
P 0.1041 0.1030 0.7881 x4  4 O 1.53-1.56
P 0.2546 0.4643 0.2940 x4  4 O 1.54-1.56
P 0.3930 0.1067 0.7880 x4  4 O 1.54
O 0.0148 0.1672 0.7988 x4  1 P 1.56
O 0.0913 0.1420 0.6107 x4  1 P 1.54
O 0.0933 0.0679 0.2829 x4  1 P 1.56
O 0.1781 0.3601 0.2992 x4  1 P 1.54
O 0.1907 0.4404 0.6227 x4  1 P 1.54
O 0.2076 0.1595 0.9544 x4  1 P 1.53
O 0.2891 0.1638 0.6206 x4  1 P 1.54
O 0.3148 0.4369 0.9620 x4  1 P 1.54
O 0.3395 0.3714 0.2958 x4  1 P 1.56
O 0.3988 0.1465 0.9593 x4  1 P 1.54
O 0.3999 0.0617 0.2785 x4  1 P 1.54
O 0.4854 0.1783 0.7956 x4  1 P 1.54

Computed properties:
Total magnetization   0.000 μB per atom



Q | First-principles (GGA-PBE) data for a relaxed structure of LiZr2P3O12, as listed in the Materials Project database.

Unit cell a=8.9388 b=8.9388 c=22.3325 alpha=90.00 beta=90.00 gamma=120.00
Last column: nearest neighbours and their distance in Å.
Space group R-3c (No. 167, hexagonal axes)
One atom of each set of equivalent atoms:
Li 0.0000 0.0000 0.0000 x6  6 O 2.44
Zr 0.0000 0.0000 0.1433 x12  6 O 2.07-2.13
P 0.0000 0.2936 0.2500 x18  4 O 1.54-1.55
O 0.0025 0.1953 0.1936 x36  1 P 1.54
O 0.0211 0.1913 0.9185 x36  1 P 1.55

Computed properties:
Total magnetization   0.000 μB per atom



R | First-principles (GGA-PBE) data for a relaxed structure of LiZr2P3O12, as listed in the Materials Project database.

Unit cell a=7.5946 b=8.0304 c=9.9553 alpha=67.68 beta=67.71 gamma=68.59
Last column: nearest neighbours and their distance in Å.
Space group P-1 (No. 2)
One atom of each set of equivalent atoms:
Li 0.0707 0.1871 0.3694 x2  2 O 1.76-1.89
Zr 0.1406 0.1402 0.0673 x2  6 O 2.08-2.19
Zr 0.3524 0.3354 0.4444 x2  1 O 1.85
P 0.0789 0.7009 0.1960 x2  4 O 1.51-1.67
P 0.2108 0.4954 0.7668 x2  4 O 1.50-1.67
P 0.4912 0.9691 0.7553 x2  4 O 1.53-1.57
O 0.0362 0.9018 0.2023 x2  1 P 1.55
O 0.0526 0.6780 0.7871 x2  1 P 1.55
O 0.0945 0.7175 0.0327 x2  1 P 1.54
O 0.1153 0.3878 0.7078 x2  2 P 1.67
O 0.1361 0.2475 0.4928 x2  1 Li 1.76, 1 Zr 1.85
O 0.2463 0.5686 0.2605 x2  1 P 1.51
O 0.2569 0.3670 0.9146 x2  1 P 1.53
O 0.3020 0.0841 0.2170 x2  1 P 1.57
O 0.3349 0.0050 0.9045 x2  1 P 1.56
O 0.3854 0.5303 0.6326 x2  1 P 1.50
O 0.4704 0.8062 0.7211 x2  1 P 1.54
O 0.4821 0.1416 0.6188 x2  1 P 1.53

Computed properties:
Total magnetization   0.000 μB per atom



S | First-principles (GGA-PBE) data for a relaxed structure of LiZr2P3O12, as listed in the Materials Project database.

Unit cell a=8.9574 b=9.0801 c=15.3733 alpha=90.00 beta=124.95 gamma=90.00
Last column: nearest neighbours and their distance in Å.
Space group P2_1/c (No. 14)
One atom of each set of equivalent atoms:
Li 0.0316 0.2242 0.3211 x4  4 O 1.99-2.05
Zr 0.1445 0.5451 0.3904 x4  6 O 2.03-2.16
Zr 0.3704 0.5251 0.1211 x4  6 O 2.07-2.11
P 0.0292 0.0982 0.6451 x4  4 O 1.53-1.57
P 0.2442 0.6214 0.6464 x4  4 O 1.53-1.56
P 0.4528 0.2501 0.4885 x4  4 O 1.53-1.56
O 0.0015 0.7477 0.3216 x4  1 P 1.57
O 0.0549 0.5188 0.2274 x4  1 P 1.56
O 0.0814 0.5975 0.6553 x4  1 P 1.56
O 0.1393 0.5552 0.9638 x4  1 P 1.53
O 0.1826 0.5790 0.5326 x4  1 P 1.55
O 0.2011 0.1029 0.6458 x4  1 P 1.53
O 0.2686 0.1647 0.9197 x4  1 P 1.56
O 0.2951 0.7145 0.1666 x4  1 P 1.54
O 0.3899 0.6396 0.4436 x4  1 P 1.55
O 0.4042 0.5223 0.7263 x4  1 P 1.53
O 0.4401 0.1486 0.5636 x4  1 P 1.53
O 0.4821 0.1647 0.4135 x4  1 P 1.53

Computed properties:
Total magnetization   0.000 μB per atom



Computed relative energies in units of kJ/mol of atoms: P 1.1; Q 1.7; R 17.4; S 0.0